Compound: VS2O8
Source: Materials Project
Functional: r²SCAN
Structure: relaxed

```
VS2O8
1.0
4.121 2.379 7.310
-4.121 2.379 7.310
0.000 -4.758 7.310
V S O
3 6 24
direct
0.000 0.000 0.000
0.209 0.209 0.209
0.498 0.498 0.498
0.113 0.379 0.820
0.322 0.895 0.597
0.379 0.820 0.113
0.597 0.322 0.895
0.820 0.113 0.379
0.895 0.597 0.322
0.088 0.464 0.219
0.130 0.195 0.831
0.175 0.876 0.799
0.195 0.831 0.130
0.209 0.315 0.958
0.219 0.088 0.464
0.255 0.453 0.622
0.315 0.958 0.209
0.345 0.735 0.559
0.453 0.622 0.255
0.464 0.219 0.088
0.501 0.894 0.562
0.519 0.865 0.921
0.559 0.345 0.735
0.562 0.501 0.894
0.622 0.255 0.453
0.735 0.559 0.345
0.799 0.175 0.876
0.831 0.130 0.195
0.865 0.921 0.519
0.876 0.799 0.175
0.894 0.562 0.501
0.921 0.519 0.865
0.958 0.209 0.315
```

Properties
- magnetic moment (μB/f.u.) = 1.000
- E_form (kJ/mol of formula units) = -1733